Entry 1:
# Re3Ir

A relaxed Re3Ir crystal (r2SCAN, the Materials Project database).

Output
* magnetization: 0.0000 μB/atom
* DFT total energy: -419.915 eV for the cell shown

CIF file:
```
data_Re3Ir
_chemical_formula_sum 'Re6 Ir2'
_cell_length_a 3.8835
_cell_length_b 3.8835
_cell_length_c 7.7622
_cell_angle_alpha 90.00
_cell_angle_beta 90.00
_cell_angle_gamma 90.00
_symmetry_space_group_name_H-M 'I 4/m m m'
_symmetry_Int_Tables_number 139
_symmetry_space_group_name_Hall '-I 4 2'
loop_
_atom_site_label
_atom_site_type_symbol
_atom_site_fract_x
_atom_site_fract_y
_atom_site_fract_z
Re1 Re 0.0000 0.0000 0.0000
Re2 Re 0.0000 0.5000 0.2500
Ir1 Ir 0.0000 0.0000 0.5000
```

Entry 2:
# BaSbPt

A relaxed BaSbPt crystal (r2SCAN, the Materials Project database).

Output
* magnetization: 0.0000 μB/atom
* DFT total energy: -106.877 eV for the cell shown

CIF file:
```
data_BaSbPt
_chemical_formula_sum 'Ba1 Sb1 Pt1'
_cell_length_a 4.5680
_cell_length_b 4.5680
_cell_length_c 4.9864
_cell_angle_alpha 90.00
_cell_angle_beta 90.00
_cell_angle_gamma 120.00
_symmetry_space_group_name_H-M 'P -6 m 2'
_symmetry_Int_Tables_number 187
_symmetry_space_group_name_Hall 'P -6 2'
loop_
_atom_site_label
_atom_site_type_symbol
_atom_site_fract_x
_atom_site_fract_y
_atom_site_fract_z
Ba1 Ba 0.0000 0.0000 0.0000
Sb1 Sb 0.6667 0.3333 0.5000
Pt1 Pt 0.3333 0.6667 0.5000
```

Entry 3:
# HoNi3

A relaxed HoNi3 crystal (r2SCAN, the Materials Project database).

Output
* magnetization: 0.1837 μB/atom
* DFT total energy: -633.658 eV for the cell shown

CIF file:
```
data_HoNi3
_chemical_formula_sum 'Ho9 Ni27'
_cell_length_a 4.9031
_cell_length_b 4.9031
_cell_length_c 23.9880
_cell_angle_alpha 90.00
_cell_angle_beta 90.00
_cell_angle_gamma 120.00
_symmetry_space_group_name_H-M 'R -3 m'
_symmetry_Int_Tables_number 166
_symmetry_space_group_name_Hall '-R 3 2"'
loop_
_atom_site_label
_atom_site_type_symbol
_atom_site_fract_x
_atom_site_fract_y
_atom_site_fract_z
Ho1 Ho 0.0000 0.0000 0.0000
Ho2 Ho 0.0000 0.0000 0.1388
Ni1 Ni 0.0000 0.0000 0.3333
Ni2 Ni 0.0000 0.0000 0.5000
Ni3 Ni 0.0016 0.5008 0.9183
```

Entry 4:
# K3As11

A relaxed K3As11 crystal (r2SCAN, the Materials Project database).

Output
* magnetization: 0.0000 μB/atom
* DFT total energy: -738.759 eV for the cell shown

CIF file:
```
data_K3As11
_chemical_formula_sum 'K12 As44'
_cell_length_a 11.0740
_cell_length_b 14.6597
_cell_length_c 10.8109
_cell_angle_alpha 90.00
_cell_angle_beta 90.00
_cell_angle_gamma 90.00
_symmetry_space_group_name_H-M 'P b c n'
_symmetry_Int_Tables_number 60
_symmetry_space_group_name_Hall '-P 2n 2ab'
loop_
_atom_site_label
_atom_site_type_symbol
_atom_site_fract_x
_atom_site_fract_y
_atom_site_fract_z
K1 K 0.0000 0.2076 0.2500
K2 K 0.2317 0.4855 0.0886
As1 As 0.0000 0.0234 0.7500
As2 As 0.0277 0.3578 0.4906
As3 As 0.0791 0.1308 0.8966
As4 As 0.0841 0.3878 0.8239
As5 As 0.1078 0.2145 0.5579
As6 As 0.1883 0.2438 0.7684
```

Entry 5:
# BaV8O16

A relaxed BaV8O16 crystal (r2SCAN, the Materials Project database).

Output
* magnetization: 0.4000 μB/atom
* DFT total energy: -303.275 eV for the cell shown

CIF file:
```
data_BaV8O16
_chemical_formula_sum 'Ba1 V8 O16'
_cell_length_a 5.6868
_cell_length_b 7.2589
_cell_length_c 7.2593
_cell_angle_alpha 87.80
_cell_angle_beta 78.69
_cell_angle_gamma 78.70
_symmetry_space_group_name_H-M 'P 1'
_symmetry_Int_Tables_number 1
_symmetry_space_group_name_Hall 'P 1'
loop_
_atom_site_label
_atom_site_type_symbol
_atom_site_fract_x
_atom_site_fract_y
_atom_site_fract_z
Ba1 Ba 0.0000 0.0000 0.0000
V1 V 0.0748 0.5232 0.1867
V2 V 0.1694 0.8136 0.5228
V3 V 0.3414 0.1829 0.4662
V4 V 0.4315 0.4663 0.8175
V5 V 0.5743 0.5335 0.1823
V6 V 0.6642 0.8169 0.5337
V7 V 0.8365 0.1861 0.4768
V8 V 0.9312 0.4766 0.8130
O1 O 0.0250 0.2950 0.6225
O2 O 0.1513 0.0432 0.3520
O3 O 0.1721 0.6232 0.7051
O4 O 0.1726 0.3521 0.9574
O5 O 0.3277 0.6456 0.0433
O6 O 0.3352 0.3797 0.2957
O7 O 0.3493 0.9574 0.6455
O8 O 0.4839 0.7043 0.3790
O9 O 0.5221 0.2955 0.6208
O10 O 0.6565 0.0424 0.3542
O11 O 0.6706 0.6202 0.7042
O12 O 0.6781 0.3541 0.9565
O13 O 0.8331 0.6478 0.0423
O14 O 0.8338 0.3765 0.2945
O15 O 0.8544 0.9566 0.6478
O16 O 0.9807 0.7048 0.3773
```

Entry 6:
# KNaReH9

A relaxed KNaReH9 crystal (r2SCAN, the Materials Project database).

Output
* magnetization: 0.0000 μB/atom
* DFT total energy: -387.478 eV for the cell shown

CIF file:
```
data_KNaReH9
_chemical_formula_sum 'K4 Na4 Re4 H36'
_cell_length_a 9.1297
_cell_length_b 5.3954
_cell_length_c 10.0410
_cell_angle_alpha 90.00
_cell_angle_beta 90.00
_cell_angle_gamma 90.00
_symmetry_space_group_name_H-M 'P n m a'
_symmetry_Int_Tables_number 62
_symmetry_space_group_name_Hall '-P 2ac 2n'
loop_
_atom_site_label
_atom_site_type_symbol
_atom_site_fract_x
_atom_site_fract_y
_atom_site_fract_z
K1 K 0.0284 0.2500 0.1752
Na1 Na 0.1354 0.2500 0.5757
Re1 Re 0.2298 0.7500 0.3838
H1 H 0.0886 0.2500 0.8648
H2 H 0.0966 0.5308 0.3972
H3 H 0.1223 0.7500 0.2502
H4 H 0.1642 0.7500 0.5403
H5 H 0.1896 0.0215 0.9742
H6 H 0.2198 0.0281 0.7734
```

Entry 7:
# Sr3CaAl8

A relaxed Sr3CaAl8 crystal (r2SCAN, the Materials Project database).

Output
* magnetization: 0.0000 μB/atom
* DFT total energy: -329.099 eV for the cell shown

CIF file:
```
data_Sr3CaAl8
_chemical_formula_sum 'Sr9 Ca3 Al24'
_cell_length_a 5.7829
_cell_length_b 5.7829
_cell_length_c 28.4723
_cell_angle_alpha 90.00
_cell_angle_beta 90.00
_cell_angle_gamma 120.00
_symmetry_space_group_name_H-M 'R 3 m'
_symmetry_Int_Tables_number 160
_symmetry_space_group_name_Hall 'R 3 -2"'
loop_
_atom_site_label
_atom_site_type_symbol
_atom_site_fract_x
_atom_site_fract_y
_atom_site_fract_z
Sr1 Sr 0.0000 0.0000 0.0000
Sr2 Sr 0.0000 0.0000 0.1253
Sr3 Sr 0.0000 0.0000 0.6245
Ca1 Ca 0.0000 0.0000 0.4997
Al1 Al 0.0000 0.0000 0.3125
Al2 Al 0.0000 0.0000 0.8123
Al3 Al 0.0010 0.5005 0.0634
Al4 Al 0.1669 0.3339 0.8947
```

Entry 8:
# Cd3Cl2O2

A relaxed Cd3Cl2O2 crystal (r2SCAN, the Materials Project database).

Output
* magnetization: 0.0000 μB/atom
* DFT total energy: -186.739 eV for the cell shown

CIF file:
```
data_Cd3Cl2O2
_chemical_formula_sum 'Cd6 Cl4 O4'
_cell_length_a 6.4298
_cell_length_b 6.7518
_cell_length_c 6.6989
_cell_angle_alpha 90.00
_cell_angle_beta 115.84
_cell_angle_gamma 90.00
_symmetry_space_group_name_H-M 'P 1 21/c 1'
_symmetry_Int_Tables_number 14
_symmetry_space_group_name_Hall '-P 2ybc'
loop_
_atom_site_label
_atom_site_type_symbol
_atom_site_fract_x
_atom_site_fract_y
_atom_site_fract_z
Cd1 Cd 0.0000 0.0000 0.0000
Cd2 Cd 0.4123 0.1270 0.7707
Cl1 Cl 0.1916 0.6358 0.9332
O1 O 0.3325 0.1136 0.0634
```

Entry 9:
# TiPt3

A relaxed TiPt3 crystal (r2SCAN, the Materials Project database).

Output
* magnetization: 0.0000 μB/atom
* DFT total energy: -684.406 eV for the cell shown

CIF file:
```
data_TiPt3
_chemical_formula_sum 'Ti4 Pt12'
_cell_length_a 5.5554
_cell_length_b 5.5554
_cell_length_c 9.0479
_cell_angle_alpha 90.00
_cell_angle_beta 90.00
_cell_angle_gamma 120.00
_symmetry_space_group_name_H-M 'P 63/m m c'
_symmetry_Int_Tables_number 194
_symmetry_space_group_name_Hall '-P 6c 2c'
loop_
_atom_site_label
_atom_site_type_symbol
_atom_site_fract_x
_atom_site_fract_y
_atom_site_fract_z
Ti1 Ti 0.0000 0.0000 0.0000
Ti2 Ti 0.3333 0.6667 0.2500
Pt1 Pt 0.0000 0.5000 0.0000
Pt2 Pt 0.1668 0.3335 0.7500
```

Entry 10:
# SmCu4Pd

A relaxed SmCu4Pd crystal (r2SCAN, the Materials Project database).

Output
* magnetization: 0.0000 μB/atom
* DFT total energy: -293.431 eV for the cell shown

CIF file:
```
data_SmCu4Pd
_chemical_formula_sum 'Sm3 Cu12 Pd3'
_cell_length_a 4.9385
_cell_length_b 4.9385
_cell_length_c 13.0156
_cell_angle_alpha 90.00
_cell_angle_beta 90.00
_cell_angle_gamma 120.00
_symmetry_space_group_name_H-M 'R 3 m'
_symmetry_Int_Tables_number 160
_symmetry_space_group_name_Hall 'R 3 -2"'
loop_
_atom_site_label
_atom_site_type_symbol
_atom_site_fract_x
_atom_site_fract_y
_atom_site_fract_z
Sm1 Sm 0.0000 0.0000 0.0000
Cu1 Cu 0.0000 0.0000 0.7719
Cu2 Cu 0.1672 0.3344 0.2017
Pd1 Pd 0.0000 0.0000 0.3714
```

Entry 11:
# ZrS2O8

A relaxed ZrS2O8 crystal (r2SCAN, the Materials Project database).

Output
* magnetization: 0.0000 μB/atom
* DFT total energy: -437.698 eV for the cell shown

CIF file:
```
data_ZrS2O8
_chemical_formula_sum 'Zr4 S8 O32'
_cell_length_a 8.6185
_cell_length_b 5.4539
_cell_length_c 10.9223
_cell_angle_alpha 90.00
_cell_angle_beta 90.00
_cell_angle_gamma 90.00
_symmetry_space_group_name_H-M 'P n m a'
_symmetry_Int_Tables_number 62
_symmetry_space_group_name_Hall '-P 2ac 2n'
loop_
_atom_site_label
_atom_site_type_symbol
_atom_site_fract_x
_atom_site_fract_y
_atom_site_fract_z
Zr1 Zr 0.2453 0.2500 0.1046
S1 S 0.9995 0.2500 0.8439
S2 S 0.1471 0.2500 0.4080
O1 O 0.0111 0.7500 0.6429
O2 O 0.0712 0.2500 0.9661
O3 O 0.1043 0.5335 0.1622
O4 O 0.1072 0.2500 0.7452
O5 O 0.1670 0.0300 0.4830
O6 O 0.2382 0.7500 0.8087
```

Entry 12:
# V6O11

A relaxed V6O11 crystal (r2SCAN, the Materials Project database).

Output
* magnetization: 0.4706 μB/atom
* DFT total energy: -390.676 eV for the cell shown

CIF file:
```
data_V6O11
_chemical_formula_sum 'V12 O22'
_cell_length_a 5.4585
_cell_length_b 7.0039
_cell_length_c 9.5944
_cell_angle_alpha 89.96
_cell_angle_beta 79.54
_cell_angle_gamma 70.87
_symmetry_space_group_name_H-M 'P -1'
_symmetry_Int_Tables_number 2
_symmetry_space_group_name_Hall '-P 1'
loop_
_atom_site_label
_atom_site_type_symbol
_atom_site_fract_x
_atom_site_fract_y
_atom_site_fract_z
V1 V 0.1772 0.3020 0.0674
V2 V 0.1798 0.8019 0.0637
V3 V 0.2247 0.3644 0.4184
V4 V 0.2291 0.8635 0.4150
V5 V 0.3078 0.9266 0.7562
V6 V 0.3209 0.4165 0.7550
O1 O 0.0081 0.5967 0.1093
O2 O 0.0541 0.9232 0.2464
O3 O 0.0991 0.1440 0.4719
O4 O 0.1307 0.4804 0.6094
O5 O 0.1866 0.7006 0.8551
O6 O 0.2101 0.0430 0.9680
O7 O 0.3354 0.2416 0.2131
O8 O 0.3584 0.5763 0.3484
O9 O 0.4104 0.7994 0.5741
O10 O 0.4373 0.1344 0.7036
O11 O 0.4824 0.3191 0.9336
```